Entry 1:
Computed, not measured: crystalline Li9Co7O16 at its relaxed geometry at the GGA+U level of DFT.

```
Li9Co7O16
1.0
5.0504 0.0000 0.0000
0.0000 2.9656 0.0000
-0.8116 0.0000 18.9719
Li Co O
9 7 16
Cartesian
0.0000 0.0000 0.0000
-0.4058 1.4828 9.4859
0.3219 0.0000 7.0868
1.0571 1.4828 4.7309
1.7717 0.0000 2.3806
2.5252 1.4828 0.0000
2.4670 0.0000 16.5913
3.1817 1.4828 14.2410
3.9168 0.0000 11.8851
-0.0755 1.4828 16.6940
0.6189 0.0000 14.2504
1.3551 1.4828 11.8657
2.1194 0.0000 9.4859
2.8836 1.4828 7.1062
3.6198 0.0000 4.7214
4.3142 1.4828 2.2778
0.0781 0.0000 3.5932
-0.1293 1.4828 13.0392
0.7093 1.4828 1.3367
0.5476 0.0000 10.7417
0.7770 0.0000 17.7018
1.3818 1.4828 8.2937
1.3877 1.4828 15.4571
2.0702 0.0000 5.9377
2.1685 0.0000 13.0342
2.8510 1.4828 3.5148
2.8569 1.4828 10.6782
3.4618 0.0000 1.2701
3.6912 0.0000 8.2301
3.5294 1.4828 17.6351
4.3680 1.4828 5.9327
4.1607 0.0000 15.3787
```

Output
Total magnetization   2.8 μB per formula unit
Energy above the most stable polymorph in this dataset   76.1 meV per atom
Crystal system   monoclinic
Total energy   -5.543 eV/atom

Entry 2:
Computed, not measured: crystalline Sr5Fe3F19 at its relaxed geometry at the GGA+U level of DFT.

```
Sr5Fe3F19
1.0
8.8557 0.0000 0.0000
2.7592 9.4167 0.0000
4.1572 -0.0110 9.8873
Sr Fe F
10 6 38
Cartesian
0.0000 0.0000 0.0000
2.4021 3.2055 2.8857
7.1989 4.6659 8.2198
6.5345 0.9804 6.2472
7.0909 4.7205 4.3308
7.6457 8.5827 2.3157
10.7401 7.6162 8.4710
7.5968 3.8296 0.2691
10.2231 1.9685 6.9365
12.4366 7.6718 4.7703
7.0205 8.0775 6.5792
5.1639 6.2419 1.4651
7.9623 1.6236 9.8369
8.2898 1.4386 3.1853
10.4228 6.4259 2.1741
12.7608 4.4822 6.5910
12.0291 7.5655 2.2743
5.2306 8.6633 6.1853
6.7014 7.4468 8.4331
4.5911 5.2182 4.9328
3.4679 5.2277 1.6184
4.5020 0.4260 7.3470
2.4701 2.9850 0.2630
5.5983 3.3936 6.5103
5.7449 6.9674 3.2329
6.7954 6.2131 6.1836
5.3951 8.1002 0.9743
6.5675 0.4266 9.0772
3.8616 1.4053 1.9270
7.5893 8.8633 4.8290
8.9930 5.9416 9.4033
5.9783 4.5699 2.1001
8.9595 7.8338 6.8459
7.9172 2.1775 7.9195
6.7688 2.1952 4.1713
9.3829 2.9176 9.7911
8.4799 3.8792 6.1321
7.1296 6.3328 0.6671
9.1231 0.0540 9.7205
8.7149 6.5645 3.1448
11.4243 9.2365 6.6712
10.4797 9.1283 3.8720
7.2421 1.3386 1.5911
8.7064 3.3601 2.8775
11.1340 4.1595 7.6753
9.7843 7.8749 1.0684
9.7033 1.4528 4.5518
12.0802 6.3691 6.7790
11.8191 1.8068 8.8398
10.9654 5.5959 3.8275
9.7878 4.9784 1.1673
13.5345 4.7791 8.3746
9.8172 1.1146 1.9994
11.9112 3.1023 5.4190
```

Output
Total magnetization   0.0 μB per formula unit
Energy above the most stable polymorph in this dataset   43.2 meV per atom
Crystal system   triclinic
Total energy   -5.494 eV/atom

Entry 3:
Computed, not measured: crystalline MgFe4CoO8 at its relaxed geometry at the GGA+U level of DFT.

```
MgFe4CoO8
1.0
3.0148 1.7406 4.9450
-3.0148 1.7406 4.9450
0.0000 -3.4812 4.9450
Mg Fe Co O
1 4 1 8
Cartesian
0.0000 0.0000 0.0000
0.0000 0.0000 5.6000
-1.4834 -0.8565 12.3899
1.4834 -0.8565 12.3899
0.0000 1.7129 12.3899
0.0000 0.0000 9.2510
-1.6208 -0.9358 8.5830
0.0000 0.0000 3.6137
0.0000 -1.8230 6.2492
-1.5788 0.9115 6.2492
1.6208 -0.9358 8.5830
0.0000 1.8716 8.5830
0.0000 0.0000 11.2744
1.5788 0.9115 6.2492
```

Output
Total magnetization   23.0 μB per formula unit
Crystal system   trigonal
Total energy   -6.522 eV/atom

Entry 4:
Computed, not measured: crystalline BaNi4O7 at its relaxed geometry at the GGA+U level of DFT.

```
BaNi4O7
1.0
6.2373 0.0000 0.0000
-3.1186 5.4016 0.0000
0.0000 0.0000 10.2688
Ba Ni O
2 8 14
Cartesian
0.0000 3.6011 0.0000
3.1186 1.8005 5.1344
0.0000 0.0000 4.5499
0.0000 0.0000 9.6844
0.0000 1.8528 7.0277
-1.5140 4.4752 7.0277
1.6046 0.9264 1.8933
1.5140 4.4752 7.0277
4.6327 0.9264 1.8933
3.1186 3.5488 1.8933
0.0000 0.0000 2.6006
0.0000 0.0000 7.7350
-1.4947 2.7381 7.6261
0.0000 1.7077 5.1991
-1.6397 4.5478 5.1991
1.4789 0.8538 0.0647
1.4947 2.7381 7.6261
0.0000 5.3271 7.6261
3.1186 0.0746 2.4917
1.6239 2.6635 2.4917
1.6397 4.5478 5.1991
4.7584 0.8538 0.0647
3.1186 3.6940 0.0647
4.6134 2.6635 2.4917
```

Output
Total magnetization   6.0 μB per formula unit
Crystal system   hexagonal
Total energy   -4.776 eV/atom

Entry 5:
Computed, not measured: crystalline MgCoP2O7 at its relaxed geometry at the GGA+U level of DFT.

```
MgCoP2O7
1.0
5.1875 0.0000 0.0000
-0.1605 5.7929 0.0000
-0.1292 -1.6244 5.5657
Mg Co P O
1 1 2 7
Cartesian
0.0000 0.0000 0.0000
2.4326 4.5066 0.9781
0.2109 -0.2282 2.7631
4.6899 1.4557 5.0182
0.5322 4.5865 3.8068
0.8856 3.7315 0.0581
1.2787 0.1061 1.6780
3.6175 2.5833 5.0044
3.9823 5.1615 1.9708
4.3484 1.7980 0.0936
5.0430 1.1896 3.4584
```

Output
Total magnetization   3.0 μB per formula unit
Energy above the most stable polymorph in this dataset   120.3 meV per atom
Crystal system   triclinic
Total energy   -6.835 eV/atom

Entry 6:
Computed, not measured: crystalline Li9Mn2Co5O16 at its relaxed geometry at the GGA+U level of DFT.

```
Li9Mn2Co5O16
1.0
4.9996 0.0000 0.0000
-1.7921 7.5104 0.0000
-1.3346 -1.5443 7.5895
Li Mn Co O
9 2 5 16
Cartesian
0.0000 0.0000 0.0000
-1.5634 2.9830 3.7947
-1.4010 0.7178 5.7352
1.0642 -0.3794 6.6612
0.9796 1.8379 4.7790
1.6037 3.7552 0.0000
0.8933 4.1282 2.8105
0.8086 6.3455 0.9282
3.2739 5.2483 1.8543
4.1690 2.6317 0.8983
-2.2962 3.3344 6.6912
-2.3791 5.5940 4.7479
1.7043 1.5227 1.8630
1.8325 -0.7722 3.7947
0.1686 4.4434 5.7264
4.2519 0.3720 2.8416
-0.1677 4.4429 0.8198
0.6809 1.9227 0.0442
0.0397 2.2614 2.6472
-1.4560 5.1056 6.6009
-0.7926 5.0102 3.8132
-0.6730 2.7735 5.7019
0.8873 -0.2030 1.9351
0.2474 -0.0651 4.6664
1.6254 6.0312 2.9231
0.9856 6.1691 5.6544
2.5459 3.1926 1.8876
2.6655 0.9558 3.7762
3.3289 0.8605 0.9885
1.8332 3.7046 4.9423
1.1920 4.0433 7.5453
2.0406 1.5232 6.7697
```

Output
Total magnetization   6.0 μB per formula unit
Energy above the most stable polymorph in this dataset   22.9 meV per atom
Crystal system   triclinic
Total energy   -5.832 eV/atom

Entry 7:
Computed, not measured: crystalline NaLi2V3O9 at its relaxed geometry at the GGA+U level of DFT.

```
NaLi2V3O9
1.0
9.1168 -4.5192 0.0000
9.1168 4.5192 0.0000
-3.2482 0.0000 9.5273
Na Li V O
4 8 12 36
Cartesian
9.1168 -4.5189 0.0000
5.0140 0.0000 3.1768
9.9714 0.0000 6.3505
7.4927 -3.8191 4.7636
3.3340 0.5139 7.9514
0.8639 -1.1290 6.3290
7.4927 1.8624 4.7636
11.6514 0.5139 1.5758
9.1168 -1.1098 0.0000
3.3859 -2.6581 7.9648
11.5995 -2.6581 1.5625
14.1215 -1.1290 3.1983
5.1048 3.4363 6.6204
2.6224 1.7647 5.0139
9.8806 3.4363 2.9069
7.3655 1.7643 1.3023
4.2658 -1.0527 0.2216
7.6199 1.7643 8.2249
5.7059 -1.0288 6.1380
12.3631 1.7647 4.5134
9.2795 -1.0288 3.3892
6.7598 -2.7401 1.8205
10.7196 -1.0527 9.3056
8.2256 -2.7401 7.7068
3.5354 2.5151 6.4135
6.0257 3.4688 5.1738
1.0651 0.4738 2.3825
3.5404 1.7257 3.5980
3.1493 2.5121 9.5079
-0.5834 0.2320 7.1658
3.8992 0.4711 0.7925
6.0565 2.6810 7.9754
8.9597 3.4688 4.3535
2.3019 0.2172 5.5626
6.4635 1.7345 2.7275
8.9290 2.6810 1.5518
1.9632 -0.9399 8.3712
11.8361 2.5121 0.0194
6.0584 0.4844 5.5311
8.5219 1.7345 6.7998
11.4500 2.5151 3.1138
7.7010 0.2149 0.7737
4.7391 -0.8932 7.5265
8.9270 0.4844 3.9962
5.1944 -1.8324 1.5756
7.2844 0.2149 8.7536
11.4450 1.7257 5.9293
4.8138 -1.8471 4.7786
7.7126 -1.9403 3.1336
10.2463 -0.8932 2.0008
11.0863 0.4711 8.7348
7.2728 -1.9403 6.3936
7.6563 -2.7836 0.3721
12.6835 0.2172 3.9646
13.0222 -0.9399 1.1561
13.9203 0.4738 7.1447
10.1716 -1.8471 4.7487
15.5688 0.2320 2.3615
7.3291 -2.7836 9.1551
9.7911 -1.8324 7.9516
```

Output
Total magnetization   0.0 μB per formula unit
Crystal system   monoclinic
Total energy   -6.768 eV/atom

Entry 8:
Computed, not measured: crystalline CaVF5 at its relaxed geometry at the GGA+U level of DFT.

```
CaVF5
1.0
5.5889 0.0000 0.0000
0.0000 10.2739 0.0000
-2.6693 0.0000 7.3502
Ca V F
4 4 20
Cartesian
-0.5074 0.2071 1.8753
-1.8421 4.9298 5.5505
4.7616 5.3441 1.7998
3.4270 10.0667 5.4749
0.5884 2.5340 4.4008
1.9231 2.6029 0.7257
0.9965 7.6709 6.6245
2.3311 7.7399 2.9494
-0.8636 1.2038 4.0888
0.4710 3.9331 0.4137
0.7803 1.1474 0.0346
-0.5543 3.9895 3.7097
0.8736 6.5351 2.6374
-0.4610 8.8757 6.3126
1.0431 2.0583 2.4784
-0.2916 3.0786 6.1535
-0.0559 6.2064 5.9611
1.2787 9.2044 2.2860
1.6408 1.0695 5.0643
2.9755 4.0675 1.3892
3.2111 7.1953 1.1967
1.8765 8.2156 4.8718
3.3806 1.3982 1.0377
2.0459 3.7387 4.7128
3.4739 6.2843 3.6405
2.1392 9.1265 7.3156
2.4486 6.3407 6.9365
3.7832 9.0701 3.2614
```

Output
Energy above the most stable polymorph in this dataset   5.8 meV per atom
Crystal system   monoclinic
Total energy   -6.039 eV/atom

Entry 9:
Computed, not measured: crystalline Li3Co3OF7 at its relaxed geometry at the GGA+U level of DFT.

```
Li3Co3OF7
1.0
6.0696 0.0000 0.0000
-3.0204 5.2680 0.0000
-3.0219 -1.7661 9.9346
Li Co O F
6 6 2 14
Cartesian
0.0000 0.0000 0.0000
3.0489 1.7500 4.9664
0.0961 -0.0554 3.6861
-2.9239 1.6949 8.6550
1.5933 -0.9245 6.8020
1.5940 2.5937 1.8335
-1.4349 -1.0167 6.7405
-1.4336 2.5043 1.7666
3.1856 -0.0012 1.7675
0.1704 -0.1018 9.3425
0.1714 1.7478 6.7308
0.1707 3.4249 4.3788
4.4963 0.9115 0.6405
1.4767 2.6602 5.6116
0.0836 -0.0512 5.6623
0.0839 1.8085 3.0385
0.0901 3.4661 0.6941
-2.9315 3.5582 8.0024
-1.2787 0.7404 7.9809
-1.2792 4.2591 3.0107
1.6335 0.9138 0.6488
-1.3867 2.6639 5.6139
1.5230 0.7758 8.0025
1.5234 4.2928 3.0360
3.0712 -0.1268 5.6083
3.0774 1.7334 2.9836
3.0711 3.3949 0.6496
0.0512 3.4937 7.9507
```

Output
Total magnetization   0.0 μB per formula unit
Energy above the most stable polymorph in this dataset   2.5 meV per atom
Maximum piezoelectric response   0.14 C/m2
Crystal system   triclinic
Total energy   -5.116 eV/atom

Entry 10:
Computed, not measured: crystalline UCrH2O6 at its relaxed geometry at the GGA+U level of DFT.

```
UCrH2O6
1.0
14.6234 0.0000 0.0000
0.0000 7.0720 0.0000
-10.0561 0.0000 13.9241
U Cr H O
8 8 16 48
Cartesian
-3.0589 1.6371 5.9121
-8.0869 1.8989 12.8741
2.6498 5.2857 4.7480
-2.3782 5.3223 11.7101
6.9455 1.7497 2.2140
1.9174 1.7863 9.1760
12.6542 5.1731 1.0499
7.6261 5.4350 8.0120
-3.2435 5.2830 4.5742
-8.2716 5.3250 11.5362
-1.0346 1.6837 11.4919
3.9935 1.8523 4.5299
0.5738 5.2197 9.3942
5.6018 5.3883 2.4322
12.8388 1.7470 2.3878
7.8108 1.7890 9.3499
1.7415 0.4587 1.1808
-3.2866 3.0773 8.1428
-2.7309 0.3118 8.2261
2.2971 3.2242 1.2641
0.3318 4.0745 5.2506
-4.6963 6.5335 12.2126
-4.4332 3.8379 12.6122
0.5949 6.7701 5.6502
3.9724 0.3019 8.2739
9.0005 3.2341 1.3118
9.2635 0.5385 1.7115
4.2355 2.9975 8.6735
2.2701 3.8478 12.6600
7.2982 6.7603 5.6980
7.8538 3.9947 5.7813
2.8258 6.6133 12.7433
-2.1587 5.0589 3.2845
-7.1867 5.5491 10.2465
-3.4570 3.8213 5.3992
-8.4851 6.7867 12.3612
-0.2062 4.8573 0.9127
-5.2343 5.7507 7.8747
-7.6645 4.1396 12.5743
-2.6364 6.4684 5.6122
-5.4156 1.3017 9.9499
-0.3875 2.2343 2.9879
-6.3296 1.5865 13.0910
-1.3015 1.9495 6.1290
-3.1315 5.0306 10.0992
1.8966 5.5774 3.1371
-0.4387 4.7745 8.2368
4.5894 5.8336 1.2748
-2.2030 0.4861 11.2710
2.8251 3.0499 4.3090
3.2523 0.3925 4.9524
-1.7757 3.1435 11.9144
6.5319 1.4666 0.4911
1.5039 2.0694 7.4531
4.8753 1.6565 3.0887
-0.1528 1.8795 10.0508
4.7200 5.1925 3.8733
-0.3080 5.4155 10.8353
3.0634 5.0026 6.4710
-1.9647 5.6054 13.4330
6.3430 3.9286 2.0096
1.3149 6.6795 8.9717
1.7422 4.0221 9.6151
6.7702 6.5859 2.6530
-0.0221 1.2385 12.6493
5.0059 2.2976 5.6872
2.6707 1.4946 10.7869
7.6987 2.0414 3.8249
5.8688 5.1225 7.7951
10.8968 5.4856 0.8331
4.9548 4.8377 10.9362
9.9828 5.7703 3.9742
7.2037 0.6036 8.3118
12.2317 2.9324 1.3498
9.8016 1.3213 6.0494
4.7735 2.2147 13.0114
13.0523 0.2853 1.5629
8.0242 3.2507 8.5249
11.7540 1.5229 3.6775
6.7259 2.0131 10.6396
```

Output
Total magnetization   1.0 μB per formula unit
Crystal system   monoclinic
Total energy   -6.668 eV/atom

Short version: ρ = 4.272 3.893 4.635 4.647 2.553 4.213 2.823 2.927 3.624 3.580 g cm⁻³, in the order given.